(1)
# CaV2O8

A relaxed CaV2O8 crystal (PBE+U, the Materials Project). Values from VASP.

The structure in Quantum ESPRESSO input format:
```
&SYSTEM
  ibrav = 0, nat = 22, ntyp = 3
/
ATOMIC_SPECIES
V 50.94 V.upf
O 16.00 O.upf
Ca 40.08 Ca.upf
CELL_PARAMETERS angstrom
-5.723 2.432 2.065
-0.708 -6.723 -2.918
4.391 -2.378 7.216
ATOMIC_POSITIONS crystal
V 0.602 0.937 0.662
V 0.384 0.569 0.347
V 0.398 0.063 0.338
V 0.616 0.431 0.653
O 0.545 0.158 0.591
O 0.112 0.965 0.251
O 0.587 0.461 0.855
O 0.520 0.642 0.598
O 0.729 0.638 0.349
O 0.455 0.842 0.409
O 0.413 0.539 0.145
O 0.093 0.455 0.298
O 0.480 0.358 0.402
O 0.271 0.362 0.651
O 0.888 0.035 0.749
O 0.907 0.545 0.702
O 0.980 0.577 0.014
O 0.020 0.423 0.986
O 0.517 0.085 0.188
O 0.483 0.915 0.812
Ca 0.691 0.384 0.138
Ca 0.309 0.616 0.862
```

For the energy of formation from the pure elements, the calculation gives -1607 meV per atom. The space-group type is P-1. The calculation puts the spin magnetization at 2.001 μB per formula unit.



(2)
# Mn3TeO6

A relaxed Mn3TeO6 crystal (PBE+U, the Materials Project). Values from VASP.

The structure in Quantum ESPRESSO input format:
```
&SYSTEM
  ibrav = 0, nat = 20, ntyp = 3
/
ATOMIC_SPECIES
Te 127.60 Te.upf
O 16.00 O.upf
Mn 54.94 Mn.upf
CELL_PARAMETERS angstrom
-5.694 2.413 1.342
2.784 4.367 3.628
0.483 3.791 -5.035
ATOMIC_POSITIONS crystal
Te 0.000 0.000 0.000
Te 0.500 0.500 0.500
O 0.956 0.295 0.084
O 0.435 0.570 0.205
O 0.295 0.085 0.955
O 0.916 0.044 0.705
O 0.795 0.564 0.430
O 0.205 0.436 0.570
O 0.044 0.705 0.916
O 0.705 0.915 0.045
O 0.569 0.205 0.435
O 0.565 0.430 0.795
O 0.084 0.956 0.295
O 0.431 0.795 0.565
Mn 0.748 0.562 0.051
Mn 0.252 0.438 0.950
Mn 0.562 0.051 0.748
Mn 0.438 0.949 0.251
Mn 0.949 0.252 0.438
Mn 0.051 0.748 0.562
```

For the energy of formation from the pure elements, the calculation gives -1920 meV per atom. The space-group type is P-1.



(3)
# LiFe2P5O16

A relaxed LiFe2P5O16 crystal (PBE+U, the Materials Project). Values from VASP.

The structure in Quantum ESPRESSO input format:
```
&SYSTEM
  ibrav = 0, nat = 48, ntyp = 4
/
ATOMIC_SPECIES
O 16.00 O.upf
P 30.97 P.upf
Li 6.94 Li.upf
Fe 55.84 Fe.upf
CELL_PARAMETERS angstrom
6.793 0.000 0.000
0.000 5.077 0.000
0.000 0.006 18.805
ATOMIC_POSITIONS crystal
O 0.072 0.062 0.431
O 0.398 0.966 0.917
O 0.572 0.545 0.117
O 0.848 0.151 0.306
O 0.404 0.785 0.789
O 0.368 0.072 0.577
O 0.428 0.545 0.617
O 0.632 0.072 0.077
O 0.021 0.413 0.609
O 0.602 0.966 0.417
O 0.441 0.467 0.892
O 0.229 0.326 0.009
O 0.777 0.644 0.986
O 0.859 0.844 0.197
O 0.559 0.467 0.392
O 0.596 0.785 0.289
O 0.708 0.779 0.858
O 0.141 0.844 0.697
O 0.771 0.326 0.509
O 0.928 0.062 0.931
O 0.979 0.413 0.109
O 0.945 0.944 0.570
O 0.305 0.207 0.137
O 0.590 0.187 0.211
O 0.695 0.207 0.637
O 0.041 0.603 0.889
O 0.055 0.944 0.070
O 0.959 0.603 0.389
O 0.410 0.187 0.711
O 0.152 0.151 0.806
O 0.292 0.779 0.358
O 0.223 0.644 0.486
P 0.259 0.992 0.750
P 0.476 0.750 0.869
P 0.524 0.750 0.369
P 0.741 0.992 0.250
P 0.869 0.225 0.578
P 0.131 0.225 0.078
P 0.535 0.256 0.130
P 0.465 0.256 0.630
P 0.876 0.770 0.920
P 0.124 0.770 0.420
Li 0.619 0.272 0.972
Li 0.381 0.272 0.472
Fe 0.178 0.265 0.907
Fe 0.174 0.734 0.593
Fe 0.826 0.734 0.093
Fe 0.822 0.265 0.407
```

For the energy of formation from the pure elements, the calculation gives -2497 meV per atom. The space-group type is Pc. The calculation puts the spin magnetization at 10.000 μB per formula unit.



(4)
# MnFe3Co2P6O24

A relaxed MnFe3Co2P6O24 crystal (PBE+U, the Materials Project). Values from VASP.

The structure in Quantum ESPRESSO input format:
```
&SYSTEM
  ibrav = 0, nat = 36, ntyp = 5
/
ATOMIC_SPECIES
O 16.00 O.upf
P 30.97 P.upf
Fe 55.84 Fe.upf
Mn 54.94 Mn.upf
Co 58.93 Co.upf
CELL_PARAMETERS angstrom
-3.925 1.846 7.214
4.038 4.389 6.224
-2.362 8.094 1.794
ATOMIC_POSITIONS crystal
O 0.284 0.555 0.754
O 0.560 0.006 0.824
O 0.284 0.407 0.555
O 0.718 0.249 0.597
O 0.068 0.109 0.326
O 0.773 0.251 0.062
O 0.440 0.378 0.998
O 0.560 0.609 0.006
O 0.068 0.498 0.109
O 0.932 0.687 0.490
O 0.440 0.184 0.378
O 0.932 0.890 0.687
O 0.223 0.740 0.943
O 0.440 0.998 0.184
O 0.932 0.490 0.890
O 0.560 0.824 0.609
O 0.223 0.093 0.740
O 0.773 0.062 0.915
O 0.068 0.326 0.498
O 0.718 0.436 0.249
O 0.284 0.754 0.407
O 0.718 0.597 0.436
O 0.773 0.915 0.251
O 0.223 0.943 0.093
P 0.745 0.454 0.048
P 0.745 0.753 0.454
P 0.253 0.539 0.956
P 0.745 0.048 0.753
P 0.253 0.956 0.251
P 0.253 0.251 0.539
Fe 0.064 0.645 0.645
Fe 0.432 0.856 0.856
Fe 0.933 0.356 0.356
Mn 0.576 0.141 0.141
Co 0.499 0.500 0.500
Co 0.005 0.998 0.998
```

For the energy of formation from the pure elements, the calculation gives -2237 meV per atom. The space-group type is R3. The calculation puts the spin magnetization at 25.000 μB per formula unit.



(5)
# RbFeF4

A relaxed RbFeF4 crystal (PBE+U, the Materials Project). Values from VASP.

The structure in Quantum ESPRESSO input format:
```
&SYSTEM
  ibrav = 0, nat = 6, ntyp = 3
/
ATOMIC_SPECIES
F 19.00 F.upf
Fe 55.84 Fe.upf
Rb 85.47 Rb.upf
CELL_PARAMETERS angstrom
-1.745 1.727 3.098
-3.212 -2.233 -0.565
2.493 -4.589 3.962
ATOMIC_POSITIONS crystal
F 0.500 0.500 0.793
F 0.000 0.500 0.500
F 0.500 0.000 0.500
F 0.500 0.500 0.207
Fe 0.500 0.500 0.500
Rb 0.000 0.000 0.000
```

For the energy of formation from the pure elements, the calculation gives -2808 meV per atom. The space-group type is P4/mmm.



(6)
# BaMn4O7

A relaxed BaMn4O7 crystal (PBE+U, the Materials Project). Values from VASP.

The structure in Quantum ESPRESSO input format:
```
&SYSTEM
  ibrav = 0, nat = 24, ntyp = 3
/
ATOMIC_SPECIES
Mn 54.94 Mn.upf
O 16.00 O.upf
Ba 137.33 Ba.upf
CELL_PARAMETERS angstrom
3.308 -5.729 0.000
3.308 5.729 0.000
0.000 0.000 10.828
ATOMIC_POSITIONS crystal
Mn 0.000 0.000 0.947
Mn 0.661 0.831 0.691
Mn 0.000 0.000 0.447
Mn 0.339 0.169 0.191
Mn 0.169 0.339 0.691
Mn 0.169 0.831 0.691
Mn 0.831 0.169 0.191
Mn 0.831 0.661 0.191
O 0.000 0.000 0.262
O 0.145 0.855 0.513
O 0.000 0.000 0.762
O 0.952 0.476 0.256
O 0.048 0.524 0.756
O 0.145 0.290 0.513
O 0.524 0.476 0.256
O 0.855 0.710 0.013
O 0.290 0.145 0.013
O 0.524 0.048 0.256
O 0.476 0.952 0.756
O 0.855 0.145 0.013
O 0.476 0.524 0.756
O 0.710 0.855 0.513
Ba 0.333 0.667 0.964
Ba 0.667 0.333 0.464
```

For the energy of formation from the pure elements, the calculation gives -1843 meV per atom. The space-group type is P6_3mc. The calculation puts the spin magnetization at 15.997 μB per formula unit.



(7)
# Ga7Fe9O24

A relaxed Ga7Fe9O24 crystal (PBE+U, the Materials Project). Values from VASP.

The structure in Quantum ESPRESSO input format:
```
&SYSTEM
  ibrav = 0, nat = 40, ntyp = 3
/
ATOMIC_SPECIES
Ga 69.72 Ga.upf
O 16.00 O.upf
Fe 55.84 Fe.upf
CELL_PARAMETERS angstrom
-0.037 4.364 2.789
-8.802 -0.599 0.849
1.116 -5.076 8.010
ATOMIC_POSITIONS crystal
Ga 0.327 0.346 0.420
Ga 0.688 0.340 0.113
Ga 0.172 0.847 0.921
Ga 0.675 0.654 0.921
Ga 0.824 0.154 0.420
Ga 0.813 0.148 0.833
Ga 0.813 0.841 0.615
O 0.151 0.171 0.751
O 0.510 0.831 0.981
O 0.843 0.830 0.249
O 0.488 0.489 0.988
O 0.151 0.842 0.724
O 0.843 0.161 0.223
O 0.481 0.827 0.497
O 0.978 0.013 0.984
O 0.345 0.669 0.250
O 0.977 0.681 0.496
O 0.659 0.326 0.751
O 0.157 0.498 0.719
O 0.651 0.998 0.721
O 0.487 0.170 0.481
O 0.520 0.509 0.488
O 0.027 0.329 0.998
O 0.013 0.990 0.490
O 0.989 0.331 0.481
O 0.340 0.998 0.220
O 0.531 0.177 0.996
O 0.013 0.670 0.981
O 0.659 0.660 0.724
O 0.844 0.498 0.218
O 0.349 0.340 0.223
Fe 0.174 0.529 0.122
Fe 0.186 0.161 0.113
Fe 0.313 0.347 0.839
Fe 0.688 0.651 0.337
Fe 0.670 0.970 0.123
Fe 0.184 0.845 0.341
Fe 0.325 0.032 0.624
Fe 0.315 0.661 0.613
Fe 0.827 0.466 0.625
```

For the energy of formation from the pure elements, the calculation gives -1913 meV per atom. The space-group type is P1. The calculation puts the spin magnetization at 45.004 μB per formula unit.



(8)
# Ba2MgWO6

A relaxed Ba2MgWO6 crystal (PBE+U, the Materials Project). Values from VASP.

The structure in Quantum ESPRESSO input format:
```
&SYSTEM
  ibrav = 0, nat = 10, ntyp = 4
/
ATOMIC_SPECIES
Ba 137.33 Ba.upf
O 16.00 O.upf
Mg 24.30 Mg.upf
W 183.84 W.upf
CELL_PARAMETERS angstrom
0.000 4.118 4.118
4.118 0.000 4.118
4.118 4.118 0.000
ATOMIC_POSITIONS crystal
Ba 0.250 0.250 0.250
Ba 0.750 0.750 0.750
O 0.239 0.761 0.761
O 0.239 0.239 0.761
O 0.761 0.761 0.239
O 0.239 0.761 0.239
O 0.761 0.239 0.761
O 0.761 0.239 0.239
Mg 0.500 0.500 0.500
W 0.000 0.000 0.000
```

For the energy of formation from the pure elements, the calculation gives -2956 meV per atom. The space-group type is Fm-3m. The calculation puts the spin magnetization at 0.000 μB per formula unit.



(9)
# LiMnP2HO7

A relaxed LiMnP2HO7 crystal (PBE+U, the Materials Project). Values from VASP.

The structure in Quantum ESPRESSO input format:
```
&SYSTEM
  ibrav = 0, nat = 48, ntyp = 5
/
ATOMIC_SPECIES
P 30.97 P.upf
O 16.00 O.upf
H 1.01 H.upf
Li 6.94 Li.upf
Mn 54.94 Mn.upf
CELL_PARAMETERS angstrom
-0.153 -3.773 5.490
6.589 -0.097 0.060
-1.343 11.273 5.228
ATOMIC_POSITIONS crystal
P 0.842 0.842 0.614
P 0.503 0.387 0.320
P 0.342 0.842 0.114
P 0.003 0.386 0.820
P 0.158 0.158 0.386
P 0.497 0.613 0.680
P 0.997 0.613 0.180
P 0.658 0.158 0.886
O 0.542 0.411 0.616
O 0.029 0.395 0.703
O 0.388 0.674 0.027
O 0.669 0.264 0.384
O 0.112 0.326 0.473
O 0.972 0.605 0.297
O 0.957 0.092 0.302
O 0.612 0.326 0.973
O 0.733 0.022 0.566
O 0.958 0.589 0.884
O 0.543 0.908 0.198
O 0.331 0.736 0.616
O 0.706 0.757 0.692
O 0.043 0.908 0.698
O 0.471 0.605 0.797
O 0.294 0.243 0.308
O 0.267 0.978 0.434
O 0.458 0.589 0.384
O 0.206 0.758 0.192
O 0.794 0.243 0.808
O 0.528 0.395 0.203
O 0.233 0.022 0.066
O 0.169 0.264 0.884
O 0.767 0.978 0.934
O 0.457 0.092 0.802
O 0.042 0.411 0.116
O 0.888 0.674 0.527
O 0.831 0.736 0.116
H 0.669 0.834 0.172
H 0.831 0.167 0.328
H 0.331 0.166 0.828
H 0.169 0.833 0.672
Li 0.034 0.881 0.879
Li 0.466 0.119 0.621
Li 0.534 0.881 0.379
Li 0.966 0.119 0.121
Mn 0.831 0.348 0.552
Mn 0.330 0.347 0.052
Mn 0.170 0.652 0.448
Mn 0.670 0.653 0.948
```

For the energy of formation from the pure elements, the calculation gives -2453 meV per atom. The calculation puts the spin magnetization at 0.000 μB per formula unit.



(10)
# BaEuFeBiO6

A relaxed BaEuFeBiO6 crystal (PBE+U, the Materials Project). Values from VASP.

The structure in Quantum ESPRESSO input format:
```
&SYSTEM
  ibrav = 0, nat = 10, ntyp = 5
/
ATOMIC_SPECIES
Ba 137.33 Ba.upf
O 16.00 O.upf
Eu 151.96 Eu.upf
Fe 55.84 Fe.upf
Bi 208.98 Bi.upf
CELL_PARAMETERS angstrom
0.000 -4.162 -4.162
4.162 0.000 -4.162
4.162 -4.162 0.000
ATOMIC_POSITIONS crystal
Ba 0.750 0.750 0.750
O 0.743 0.257 0.257
O 0.743 0.743 0.257
O 0.257 0.743 0.257
O 0.257 0.743 0.743
O 0.257 0.257 0.743
O 0.743 0.257 0.743
Eu 0.250 0.250 0.250
Fe 0.500 0.500 0.500
Bi 0.000 0.000 0.000
```

For the energy of formation from the pure elements, the calculation gives -2218 meV per atom. The space-group type is F-43m. The calculation puts the spin magnetization at 11.496 μB per formula unit.



(11)
# MnFe5P6O24

A relaxed MnFe5P6O24 crystal (PBE+U, the Materials Project). Values from VASP.

The structure in Quantum ESPRESSO input format:
```
&SYSTEM
  ibrav = 0, nat = 36, ntyp = 4
/
ATOMIC_SPECIES
P 30.97 P.upf
O 16.00 O.upf
Fe 55.84 Fe.upf
Mn 54.94 Mn.upf
CELL_PARAMETERS angstrom
-5.338 -6.529 -0.188
3.038 -7.571 -2.147
0.676 -5.874 6.016
ATOMIC_POSITIONS crystal
P 0.453 0.749 0.046
P 0.249 0.954 0.548
P 0.046 0.453 0.749
P 0.749 0.046 0.453
P 0.548 0.249 0.954
P 0.954 0.548 0.249
O 0.504 0.321 0.110
O 0.672 0.894 0.498
O 0.252 0.906 0.057
O 0.750 0.096 0.942
O 0.251 0.436 0.596
O 0.821 0.008 0.606
O 0.606 0.821 0.008
O 0.906 0.057 0.252
O 0.175 0.999 0.393
O 0.498 0.672 0.894
O 0.393 0.175 0.999
O 0.096 0.942 0.750
O 0.942 0.750 0.096
O 0.008 0.606 0.821
O 0.894 0.498 0.672
O 0.999 0.393 0.175
O 0.436 0.596 0.251
O 0.750 0.561 0.403
O 0.321 0.110 0.504
O 0.110 0.504 0.321
O 0.057 0.252 0.906
O 0.403 0.750 0.561
O 0.596 0.251 0.436
O 0.561 0.403 0.750
Fe 0.646 0.646 0.646
Fe 0.146 0.146 0.146
Fe 0.001 0.001 0.001
Fe 0.354 0.354 0.354
Fe 0.499 0.499 0.499
Mn 0.855 0.855 0.855
```

For the energy of formation from the pure elements, the calculation gives -2290 meV per atom. The space-group type is R3. The calculation puts the spin magnetization at 29.001 μB per formula unit.



Question: Look up the energy of formation from the pure elements of the ninth one.
Answer: -2453 meV per atom



Question: The lowest energy of formation from the pure elements belongs to which entry?
Answer: Ba2MgWO6



Question: Which of these has the lowest energy of formation from the pure elements?
Answer: Ba2MgWO6